[1]
# BeO, relaxed, DFT PBE
# - magnetization (μB/f.u.) = 0.000
# - crystal system = cubic
data_BeO
_cell_length_a 2.580
_cell_length_b 2.580
_cell_length_c 2.580
_cell_angle_alpha 60.00
_cell_angle_beta 60.00
_cell_angle_gamma 60.00
_symmetry_space_group_name_H-M 'P 1'
_symmetry_Int_Tables_number 1
loop_
_symmetry_equiv_pos_as_xyz
'x,y,z'
loop_
_atom_site_label
_atom_site_type_symbol
_atom_site_fract_x
_atom_site_fract_y
_atom_site_fract_z
Be1 Be 0.000 0.000 0.000
O1 O 0.500 0.500 0.500

***

[2]
# BeO, relaxed, DFT PBE
# - magnetization (μB/f.u.) = 0.000
# - crystal system = triclinic
data_BeO
_cell_length_a 10.100
_cell_length_b 8.966
_cell_length_c 9.262
_cell_angle_alpha 91.16
_cell_angle_beta 97.22
_cell_angle_gamma 86.12
_symmetry_space_group_name_H-M 'P 1'
_symmetry_Int_Tables_number 1
loop_
_symmetry_equiv_pos_as_xyz
'x,y,z'
loop_
_atom_site_label
_atom_site_type_symbol
_atom_site_fract_x
_atom_site_fract_y
_atom_site_fract_z
Be1 Be 0.431 0.508 0.693
Be2 Be 0.152 0.386 0.025
Be3 Be 0.612 0.849 0.016
Be4 Be 0.112 0.121 0.902
Be5 Be 0.721 0.525 0.072
Be6 Be 0.838 0.788 0.831
Be7 Be 0.049 0.259 0.396
Be8 Be 0.255 0.021 0.326
Be9 Be 0.756 0.587 0.556
Be10 Be 0.164 0.209 0.221
Be11 Be 0.365 0.168 0.493
Be12 Be 0.800 0.290 0.423
Be13 Be 0.322 0.666 0.187
Be14 Be 0.929 0.082 0.607
Be15 Be 0.170 0.475 0.322
Be16 Be 0.523 0.864 0.240
Be17 Be 0.942 0.591 0.096
Be18 Be 0.842 0.141 0.167
Be19 Be 0.781 0.960 0.339
Be20 Be 0.612 0.796 0.745
Be21 Be 0.591 0.275 0.222
Be22 Be 0.524 0.613 0.977
Be23 Be 0.994 0.001 0.318
Be24 Be 0.172 0.928 0.096
Be25 Be 0.399 0.945 0.584
Be26 Be 0.564 0.392 0.472
Be27 Be 0.187 0.714 0.622
Be28 Be 0.206 0.154 0.716
Be29 Be 0.825 0.529 0.777
Be30 Be 0.550 0.006 0.454
Be31 Be 0.061 0.406 0.810
Be32 Be 0.724 0.065 0.872
Be33 Be 0.519 0.571 0.228
Be34 Be 0.923 0.814 0.124
Be35 Be 0.347 0.737 0.749
Be36 Be 0.257 0.441 0.777
Be37 Be 0.926 0.804 0.552
Be38 Be 0.886 0.314 0.972
Be39 Be 0.669 0.298 0.906
Be40 Be 0.782 0.298 0.673
Be41 Be 0.127 0.747 0.346
Be42 Be 0.390 0.660 0.455
Be43 Be 0.386 0.094 0.062
Be44 Be 0.188 0.686 0.932
Be45 Be 0.612 0.115 0.656
Be46 Be 0.062 0.909 0.802
Be47 Be 0.967 0.614 0.402
Be48 Be 0.415 0.193 0.806
Be49 Be 0.026 0.395 0.584
Be50 Be 0.458 0.386 0.009
O1 O 0.407 0.378 0.821
O2 O 0.494 0.698 0.823
O3 O 0.700 0.891 0.886
O4 O 0.073 0.069 0.719
O5 O 0.953 0.492 0.704
O6 O 0.942 0.248 0.516
O7 O 0.334 0.792 0.581
O8 O 0.065 0.977 0.968
O9 O 0.584 0.168 0.819
O10 O 0.834 0.672 0.462
O11 O 0.990 0.679 0.238
O12 O 0.212 0.198 0.401
O13 O 0.154 0.330 0.694
O14 O 0.567 0.427 0.303
O15 O 0.133 0.914 0.304
O16 O 0.176 0.377 0.184
O17 O 0.646 0.684 0.087
O18 O 0.394 0.998 0.415
O19 O 0.865 0.453 0.085
O20 O 0.281 0.571 0.681
O21 O 0.481 0.524 0.544
O22 O 0.928 0.843 0.722
O23 O 0.729 0.402 0.535
O24 O 0.781 0.376 0.823
O25 O 0.610 0.433 0.992
O26 O 0.284 0.146 0.899
O27 O 0.169 0.508 0.913
O28 O 0.069 0.727 0.502
O29 O 0.732 0.663 0.717
O30 O 0.257 0.071 0.159
O31 O 0.907 0.970 0.462
O32 O 0.000 0.171 0.249
O33 O 0.742 0.211 0.281
O34 O 0.794 0.176 0.997
O35 O 0.223 0.760 0.080
O36 O 0.564 0.936 0.626
O37 O 0.531 0.207 0.510
O38 O 0.416 0.554 0.079
O39 O 0.636 0.935 0.345
O40 O 0.251 0.618 0.337
O41 O 0.859 0.953 0.196
O42 O 0.052 0.447 0.418
O43 O 0.476 0.236 0.101
O44 O 0.345 0.111 0.653
O45 O 0.194 0.786 0.794
O46 O 0.494 0.933 0.081
O47 O 0.912 0.715 0.980
O48 O 0.039 0.289 0.936
O49 O 0.459 0.719 0.299
O50 O 0.779 0.125 0.679

***

[3]
# BeO, relaxed, DFT PBE
# - crystal system = tetragonal
data_BeO
_cell_length_a 2.701
_cell_length_b 4.642
_cell_length_c 4.642
_cell_angle_alpha 90.00
_cell_angle_beta 90.00
_cell_angle_gamma 90.00
_symmetry_space_group_name_H-M 'P 1'
_symmetry_Int_Tables_number 1
loop_
_symmetry_equiv_pos_as_xyz
'x,y,z'
loop_
_atom_site_label
_atom_site_type_symbol
_atom_site_fract_x
_atom_site_fract_y
_atom_site_fract_z
Be1 Be 0.000 0.673 0.327
Be2 Be 0.500 0.827 0.827
Be3 Be 0.500 0.173 0.173
Be4 Be 0.000 0.327 0.673
O1 O 0.000 0.311 0.311
O2 O 0.500 0.811 0.189
O3 O 0.500 0.189 0.811
O4 O 0.000 0.689 0.689

***

[4]
# BeOsO3, relaxed, DFT PBE
# - magnetization (μB/f.u.) = 0.017
# - crystal system = cubic
data_BeOsO3
_cell_length_a 3.437
_cell_length_b 3.437
_cell_length_c 3.437
_cell_angle_alpha 90.00
_cell_angle_beta 90.00
_cell_angle_gamma 90.00
_symmetry_space_group_name_H-M 'P 1'
_symmetry_Int_Tables_number 1
loop_
_symmetry_equiv_pos_as_xyz
'x,y,z'
loop_
_atom_site_label
_atom_site_type_symbol
_atom_site_fract_x
_atom_site_fract_y
_atom_site_fract_z
Be1 Be 0.500 0.500 0.500
Os1 Os 0.000 0.000 0.000
O1 O 0.500 0.500 0.000
O2 O 0.500 0.000 0.500
O3 O 0.000 0.500 0.500

***

[5]
# Be2P2O7, relaxed, DFT PBE
# - magnetization (μB/f.u.) = 0.000
# - crystal system = orthorhombic
data_Be2P2O7
_cell_length_a 4.612
_cell_length_b 13.229
_cell_length_c 15.959
_cell_angle_alpha 90.00
_cell_angle_beta 90.00
_cell_angle_gamma 90.00
_symmetry_space_group_name_H-M 'P 1'
_symmetry_Int_Tables_number 1
loop_
_symmetry_equiv_pos_as_xyz
'x,y,z'
loop_
_atom_site_label
_atom_site_type_symbol
_atom_site_fract_x
_atom_site_fract_y
_atom_site_fract_z
Be1 Be 0.155 0.466 0.073
Be2 Be 0.155 0.034 0.573
Be3 Be 0.155 0.466 0.427
Be4 Be 0.155 0.034 0.927
Be5 Be 0.245 0.196 0.176
Be6 Be 0.245 0.196 0.324
Be7 Be 0.245 0.304 0.676
Be8 Be 0.245 0.304 0.824
Be9 Be 0.755 0.696 0.176
Be10 Be 0.755 0.696 0.324
Be11 Be 0.755 0.804 0.676
Be12 Be 0.755 0.804 0.824
Be13 Be 0.845 0.966 0.073
Be14 Be 0.845 0.966 0.427
Be15 Be 0.845 0.534 0.573
Be16 Be 0.845 0.534 0.927
P1 P 0.032 0.000 0.250
P2 P 0.032 0.500 0.750
P3 P 0.221 0.793 0.250
P4 P 0.221 0.707 0.750
P5 P 0.444 0.644 0.017
P6 P 0.444 0.644 0.483
P7 P 0.444 0.856 0.517
P8 P 0.444 0.856 0.983
P9 P 0.556 0.144 0.017
P10 P 0.556 0.144 0.483
P11 P 0.556 0.356 0.517
P12 P 0.556 0.356 0.983
P13 P 0.779 0.293 0.250
P14 P 0.779 0.207 0.750
P15 P 0.968 0.500 0.250
P16 P 0.968 0.000 0.750
O1 O 0.055 0.762 0.171
O2 O 0.055 0.762 0.329
O3 O 0.055 0.738 0.671
O4 O 0.055 0.738 0.829
O5 O 0.132 0.487 0.169
O6 O 0.132 0.487 0.331
O7 O 0.132 0.013 0.669
O8 O 0.132 0.013 0.831
O9 O 0.196 0.935 0.987
O10 O 0.196 0.565 0.487
O11 O 0.196 0.935 0.513
O12 O 0.196 0.565 0.013
O13 O 0.183 0.104 0.250
O14 O 0.183 0.396 0.750
O15 O 0.279 0.587 0.750
O16 O 0.279 0.913 0.250
O17 O 0.285 0.750 0.000
O18 O 0.285 0.750 0.500
O19 O 0.406 0.147 0.101
O20 O 0.406 0.147 0.399
O21 O 0.406 0.353 0.601
O22 O 0.406 0.353 0.899
O23 O 0.345 0.128 0.555
O24 O 0.345 0.372 0.055
O25 O 0.345 0.128 0.945
O26 O 0.345 0.372 0.445
O27 O 0.539 0.754 0.250
O28 O 0.539 0.746 0.750
O29 O 0.461 0.246 0.750
O30 O 0.461 0.254 0.250
O31 O 0.655 0.628 0.555
O32 O 0.655 0.872 0.055
O33 O 0.655 0.628 0.945
O34 O 0.655 0.872 0.445
O35 O 0.594 0.647 0.101
O36 O 0.594 0.647 0.399
O37 O 0.594 0.853 0.601
O38 O 0.594 0.853 0.899
O39 O 0.715 0.250 0.000
O40 O 0.715 0.250 0.500
O41 O 0.721 0.087 0.750
O42 O 0.721 0.413 0.250
O43 O 0.817 0.604 0.250
O44 O 0.817 0.896 0.750
O45 O 0.804 0.435 0.987
O46 O 0.804 0.065 0.487
O47 O 0.804 0.065 0.013
O48 O 0.804 0.435 0.513
O49 O 0.868 0.987 0.169
O50 O 0.868 0.987 0.331
O51 O 0.868 0.513 0.669
O52 O 0.868 0.513 0.831
O53 O 0.945 0.262 0.171
O54 O 0.945 0.262 0.329
O55 O 0.945 0.238 0.671
O56 O 0.945 0.238 0.829

***

[6]
# Be2P2O7, relaxed, DFT PBE
# - magnetization (μB/f.u.) = 0.000
# - crystal system = monoclinic
data_Be2P2O7
_cell_length_a 4.983
_cell_length_b 4.983
_cell_length_c 8.891
_cell_angle_alpha 76.38
_cell_angle_beta 76.38
_cell_angle_gamma 96.16
_symmetry_space_group_name_H-M 'P 1'
_symmetry_Int_Tables_number 1
loop_
_symmetry_equiv_pos_as_xyz
'x,y,z'
loop_
_atom_site_label
_atom_site_type_symbol
_atom_site_fract_x
_atom_site_fract_y
_atom_site_fract_z
Be1 Be 0.609 0.272 0.473
Be2 Be 0.728 0.391 0.027
Be3 Be 0.272 0.609 0.973
Be4 Be 0.391 0.728 0.527
P1 P 0.794 0.812 0.204
P2 P 0.812 0.794 0.704
P3 P 0.188 0.206 0.296
P4 P 0.206 0.188 0.796
O1 O 0.945 0.303 0.395
O2 O 0.887 0.602 0.109
O3 O 0.578 0.649 0.365
O4 O 0.072 0.928 0.250
O5 O 0.303 0.945 0.895
O6 O 0.602 0.887 0.609
O7 O 0.649 0.578 0.865
O8 O 0.351 0.422 0.135
O9 O 0.398 0.113 0.391
O10 O 0.697 0.055 0.105
O11 O 0.928 0.072 0.750
O12 O 0.422 0.351 0.635
O13 O 0.113 0.398 0.891
O14 O 0.055 0.697 0.605

***

Number 1: ΔE_f -2.621 eV per atom. Number 2: ΔE_f -2.814 eV per atom. Number 3: ΔE_f -3.091 eV per atom. Number 4: ΔE_f -0.746 eV per atom. Number 5: ΔE_f -2.821 eV per atom. Number 6: ΔE_f -2.761 eV per atom.